Computed, not measured: crystalline Ce3NbSb5 at its relaxed geometry at the GGA-PBE level of DFT.

Cell: 9.370 9.370 6.222 Å, 90.00 90.00 120.00°
Positions (direct):
Ce  0.000  0.380  0.250
Ce  0.000  0.620  0.750
Ce  0.380  0.000  0.250
Ce  0.380  0.380  0.750
Ce  0.620  0.000  0.750
Ce  0.620  0.620  0.250
Nb  0.000  0.000  0.000
Nb  0.000  0.000  0.500
Sb  0.000  0.263  0.750
Sb  0.000  0.737  0.250
Sb  0.263  0.000  0.750
Sb  0.263  0.263  0.250
Sb  0.333  0.667  0.000
Sb  0.333  0.667  0.500
Sb  0.667  0.333  0.000
Sb  0.667  0.333  0.500
Sb  0.737  0.000  0.250
Sb  0.737  0.737  0.750

E_form (eV/atom): -0.936
Volume (Å³ per cell): 473.0
Calculated density (Mg/m³): 7.88